This record from the Materials Project database describes a relaxed structure of CdAgO2. The functional is PBE. Values from VASP.

Formation energy from the elements: -876 meV per atom
Crystal system: orthorhombic
Symmetry: Pmma, No. 51
Electronic total energy: -3.9457 eV per atom

Cell and atoms, written as Quantum ESPRESSO input:
```
&SYSTEM
  ibrav = 0, nat = 8, ntyp = 3
/
ATOMIC_SPECIES
O 16.00 O.upf
Cd 112.41 Cd.upf
Ag 107.87 Ag.upf
CELL_PARAMETERS angstrom
3.476 0.000 0.000
0.000 4.535 0.000
0.000 0.000 6.902
ATOMIC_POSITIONS crystal
O 0.000 0.500 0.000
O 0.366 0.000 0.250
O 0.000 0.500 0.500
O 0.634 0.000 0.750
Cd 0.510 0.500 0.250
Cd 0.490 0.500 0.750
Ag 0.000 0.000 0.000
Ag 0.000 0.000 0.500
```